First-principles (PBE-GGA) data for a relaxed structure of FeS, as listed in the Materials Project database.

a b c (Å): 5.647 6.520 7.941
angles (deg): 88.91 90.00 90.00
Atoms (fractional coordinates):
S1 0.427 0.407 0.339
S2 0.933 0.869 0.810
S3 0.567 0.869 0.310
S4 0.086 0.758 0.476
S5 0.067 0.131 0.190
S6 0.073 0.407 0.839
S7 0.927 0.593 0.161
S8 0.414 0.758 0.976
S9 0.914 0.242 0.524
S10 0.573 0.593 0.661
S11 0.433 0.131 0.690
S12 0.586 0.242 0.024
Fe1 0.708 0.174 0.289
Fe2 0.699 0.909 0.562
Fe3 0.292 0.826 0.711
Fe4 0.226 0.459 0.576
Fe5 0.208 0.826 0.211
Fe6 0.301 0.091 0.438
Fe7 0.274 0.459 0.076
Fe8 0.199 0.091 0.938
Fe9 0.792 0.174 0.789
Fe10 0.801 0.909 0.062
Fe11 0.774 0.541 0.424
Fe12 0.726 0.541 0.924

## Properties
E_tot: -159.450 eV for the cell shown

First-principles (PBE-GGA) data for a relaxed structure of Fe3S4, as listed in the Materials Project database.

a b c (Å): 6.808 6.808 6.808
angles (deg): 58.53 58.53 58.53
Atoms (fractional coordinates):
Fe1 0.000 0.500 0.500
Fe2 0.500 0.000 0.500
Fe3 0.500 0.500 0.000
Fe4 0.500 0.500 0.500
Fe5 0.873 0.873 0.873
Fe6 0.127 0.127 0.127
S1 0.740 0.740 0.271
S2 0.260 0.260 0.729
S3 0.729 0.260 0.260
S4 0.254 0.254 0.254
S5 0.740 0.271 0.740
S6 0.271 0.740 0.740
S7 0.746 0.746 0.746
S8 0.260 0.729 0.260

## Properties
E_tot: -88.155 eV for the cell shown

First-principles (PBE-GGA) data for a relaxed structure of Fe7S8, as listed in the Materials Project database.

a b c (Å): 6.250 12.074 5.718
angles (deg): 89.94 89.92 113.40
Atoms (fractional coordinates):
S1 0.387 0.327 0.674
S2 0.109 0.953 0.338
S3 0.133 0.187 0.177
S4 0.366 0.563 0.823
S5 0.634 0.687 0.325
S6 0.890 0.297 0.838
S7 0.884 0.556 0.664
S8 0.869 0.063 0.678
S9 0.111 0.422 0.326
S10 0.119 0.694 0.164
S11 0.615 0.193 0.338
S12 0.885 0.828 0.828
S13 0.389 0.799 0.661
S14 0.610 0.452 0.162
S15 0.388 0.056 0.835
S16 0.610 0.922 0.175
Fe1 0.749 0.876 0.500
Fe2 0.951 0.479 0.017
Fe3 0.251 0.375 0.002
Fe4 0.961 0.241 0.490
Fe5 0.715 0.103 0.038
Fe6 0.451 0.982 0.477
Fe7 0.283 0.145 0.540
Fe8 0.045 0.011 0.986
Fe9 0.046 0.770 0.518
Fe10 0.213 0.603 0.463
Fe11 0.788 0.646 0.964
Fe12 0.539 0.509 0.511
Fe13 0.545 0.267 0.980
Fe14 0.466 0.743 0.008

## Properties
E_tot: -195.105 eV for the cell shown
Excess energy over the best structure of this formula in the dataset: 36.6 meV per atom

| no. | E (MP2020) (eV/atom) | energy of formation from the pure elements (meV/atom) | total magnetic moment (μB/cell) |
| --- | --- | --- | --- |
| 1 | -6.90 | -592 | 0.00 |
| 2 | -6.58 | -590 | 0.18 |
| 3 | -6.77 | -613 | 5.70 |